No. 1
Material: Na2CoP2O7
Method: DFT, GGA+U
State: optimized geometry

abc: 5.2612 13.6998 10.2224
angles: 90.00 119.46 90.00
Closest atoms and distances in Å follow each position.
Fractional coordinates of all 48 atoms:
Na1 0.0715 0.1074 0.3644  5 O 2.42-2.52
Na2 0.0715 0.3926 0.8644  5 O 2.42-2.52
Na3 0.4090 0.2041 0.1435  4 O 2.27-2.45
Na4 0.4090 0.2959 0.6435  4 O 2.27-2.45
Na5 0.5910 0.7041 0.3565  4 O 2.27-2.45
Na6 0.5910 0.7959 0.8565  4 O 2.27-2.45
Na7 0.9285 0.6074 0.1356  5 O 2.42-2.52
Na8 0.9285 0.8926 0.6356  5 O 2.42-2.52
Co1 0.0372 0.1679 0.7380  5 O 1.99-2.17
Co2 0.0372 0.3321 0.2380  5 O 1.99-2.17
Co3 0.9628 0.6679 0.7620  5 O 1.99-2.17
Co4 0.9628 0.8321 0.2620  5 O 1.99-2.17
P1 0.2836 0.6896 0.5477  4 O 1.53-1.62
P2 0.2836 0.8104 0.0477  4 O 1.53-1.62
P3 0.4681 0.5409 0.7666  4 O 1.50-1.66
P4 0.4681 0.9591 0.2666  4 O 1.50-1.66
P5 0.5319 0.0409 0.7334  4 O 1.50-1.66
P6 0.5319 0.4591 0.2334  4 O 1.50-1.66
P7 0.7164 0.1896 0.9523  4 O 1.53-1.62
P8 0.7164 0.3104 0.4523  4 O 1.53-1.62
O1 0.0758 0.6981 0.3775  1 P 1.54
O2 0.0758 0.8019 0.8775  1 P 1.54
O3 0.1589 0.7356 0.6406  1 P 1.53
O4 0.1589 0.7644 0.1406  1 P 1.53
O5 0.2216 0.5524 0.8068  1 P 1.55
O6 0.2216 0.9476 0.3068  1 P 1.55
O7 0.2817 0.1153 0.6443  1 P 1.56
O8 0.2817 0.3847 0.1443  1 P 1.56
O9 0.3224 0.5739 0.5876  2 P 1.62-1.66
O10 0.3224 0.9261 0.0876  2 P 1.62-1.66
O11 0.4102 0.2281 0.9118  1 P 1.55
O12 0.4102 0.2719 0.4118  1 P 1.55
O13 0.4316 0.5626 0.2252  1 P 1.50
O14 0.4316 0.9374 0.7252  1 P 1.50
O15 0.5684 0.0626 0.2748  1 P 1.50
O16 0.5684 0.4374 0.7748  1 P 1.50
O17 0.5898 0.7281 0.5882  1 P 1.55
O18 0.5898 0.7719 0.0882  1 P 1.55
O19 0.6776 0.0739 0.9124  2 P 1.62-1.66
O20 0.6776 0.4261 0.4124  2 P 1.62-1.66
O21 0.7183 0.6153 0.8557  1 P 1.56
O22 0.7183 0.8847 0.3557  1 P 1.56
O23 0.7784 0.0524 0.6932  1 P 1.55
O24 0.7784 0.4476 0.1932  1 P 1.55
O25 0.8411 0.2356 0.8594  1 P 1.53
O26 0.8411 0.2644 0.3594  1 P 1.53
O27 0.9242 0.1981 0.1225  1 P 1.54
O28 0.9242 0.3019 0.6225  1 P 1.54

Energy of formation from the pure elements in eV/atom: -2.47
Symmetry: P2_1/c (14)


No. 2
Material: Li3Co2O5
Method: DFT, GGA+U
State: optimized geometry

abc: 24.2188 24.2188 24.2188
angles: 6.93 6.93 6.93
Closest atoms and distances in Å follow each position.
Fractional coordinates of all 20 atoms:
Li1 0.0000 0.0000 0.0000  6 O 2.08
Li2 0.0994 0.0994 0.0994  6 O 2.08-2.20
Li3 0.3015 0.3015 0.3015  6 O 2.01-2.24
Li4 0.5000 0.5000 0.5000  6 O 2.15
Li5 0.6985 0.6985 0.6985  6 O 2.01-2.24
Li6 0.9006 0.9006 0.9006  6 O 2.08-2.20
Co1 0.2000 0.2000 0.2000  6 O 1.99-2.01
Co2 0.4002 0.4002 0.4002  6 O 2.00-2.04
Co3 0.5998 0.5998 0.5998  6 O 2.00-2.04
Co4 0.8000 0.8000 0.8000  6 O 1.99-2.01
O1 0.0521 0.0521 0.0521  3 Co 2.00, 3 Li 2.24
O2 0.1484 0.1484 0.1484  3 Co 2.01, 3 Li 2.15
O3 0.2507 0.2507 0.2507  3 Co 2.04, 3 Li 2.08
O4 0.3502 0.3502 0.3502  6 Li 2.01-2.08
O5 0.4522 0.4522 0.4522  3 Co 1.99, 3 Li 2.20
O6 0.5478 0.5478 0.5478  3 Co 1.99, 3 Li 2.20
O7 0.6498 0.6498 0.6498  6 Li 2.01-2.08
O8 0.7493 0.7493 0.7493  3 Co 2.04, 3 Li 2.08
O9 0.8516 0.8516 0.8516  3 Co 2.01, 3 Li 2.15
O10 0.9479 0.9479 0.9479  3 Co 2.00, 3 Li 2.24

Energy of formation from the pure elements in eV/atom: -1.53
Symmetry: R-3m (166)


No. 3
Material: CaFeAsF
Method: DFT, GGA+U
State: optimized geometry

abc: 3.9333 3.9813 9.0189
angles: 90.00 90.00 90.00
Closest atoms and distances in Å follow each position.
Fractional coordinates of all 8 atoms:
Ca1 0.2500 0.2500 0.1441  4 F 2.36-2.37
Ca2 0.7500 0.7500 0.8559  4 F 2.36-2.37
Fe1 0.2500 0.7500 0.4919  4 As 2.51-2.62, 4 Fe 2.80
Fe2 0.7500 0.2500 0.5081  4 As 2.51-2.62, 4 Fe 2.80
As1 0.2500 0.2500 0.6809  4 Fe 2.51-2.62
As2 0.7500 0.7500 0.3191  4 Fe 2.51-2.62
F1 0.2500 0.7500 0.0005  4 Ca 2.36-2.37
F2 0.7500 0.2500 0.9995  4 Ca 2.36-2.37

Energy of formation from the pure elements in eV/atom: -1.63
Symmetry: Pmmn (59)


No. 4
Material: Er5Mo2O12
Method: DFT, GGA+U
State: optimized geometry

abc: 6.8188 6.8188 7.2936
angles: 105.57 105.57 51.77
Closest atoms and distances in Å follow each position.
Fractional coordinates of all 19 atoms:
Er1 0.0000 0.0000 0.0000  6 O 2.26-2.34
Er2 0.3003 0.3003 0.1362  7 O 2.28-2.39
Er3 0.3094 0.3094 0.6770  7 O 2.29-2.45
Er4 0.6906 0.6906 0.3230  7 O 2.29-2.45
Er5 0.6997 0.6997 0.8638  7 O 2.28-2.39
Mo1 0.2470 0.7530 0.5000  6 O 1.96-2.09
Mo2 0.7530 0.2470 0.5000  6 O 1.96-2.09
O1 0.0017 0.0017 0.6915  2 Mo 2.02, 1 Er 2.26
O2 0.0966 0.5962 0.9265  4 Er 2.28-2.34
O3 0.1000 0.5654 0.4137  1 Mo 1.96
O4 0.4038 0.9034 0.0735  4 Er 2.28-2.34
O5 0.4346 0.9000 0.5863  1 Mo 1.96
O6 0.5004 0.5004 0.3009  2 Mo 2.09, 1 Er 2.29
O7 0.4996 0.4996 0.6991  2 Mo 2.09, 1 Er 2.29
O8 0.5654 0.1000 0.4137  1 Mo 1.96
O9 0.5962 0.0966 0.9265  4 Er 2.28-2.34
O10 0.9000 0.4346 0.5863  1 Mo 1.96
O11 0.9034 0.4038 0.0735  4 Er 2.28-2.34
O12 0.9983 0.9983 0.3085  2 Mo 2.02, 1 Er 2.26

Energy of formation from the pure elements in eV/atom: -3.35
Symmetry: C2/m (12)


No. 5
Material: PrFe2O6
Method: DFT, GGA+U
State: optimized geometry

abc: 7.6859 5.4247 5.4262
angles: 90.00 90.00 90.00
Closest atoms and distances in Å follow each position.
Fractional coordinates of all 18 atoms:
Pr1 0.0000 0.2279 0.0000  8 O 2.47-2.73
Pr2 0.5000 0.7721 0.5000  8 O 2.47-2.73
Fe1 0.2490 0.2548 0.5067  6 O 1.91-1.95
Fe2 0.2510 0.7452 0.0067  6 O 1.91-1.95
Fe3 0.7490 0.7452 0.0067  6 O 1.91-1.95
Fe4 0.7510 0.2548 0.5067  6 O 1.91-1.95
O1 0.0000 0.2522 0.4542  2 Fe 1.93
O2 0.0000 0.7563 0.0427  2 Fe 1.94
O3 0.2231 0.4773 0.7804  2 Fe 1.91-1.92
O4 0.2292 0.9880 0.7444  2 Fe 1.94-1.95
O5 0.2708 0.0120 0.2444  2 Fe 1.94-1.95
O6 0.2769 0.5227 0.2804  2 Fe 1.91-1.92
O7 0.5000 0.2437 0.5427  2 Fe 1.94
O8 0.5000 0.7478 0.9542  2 Fe 1.93
O9 0.7231 0.5227 0.2804  2 Fe 1.91-1.92
O10 0.7292 0.0120 0.2444  2 Fe 1.94-1.95
O11 0.7708 0.9880 0.7444  2 Fe 1.94-1.95
O12 0.7769 0.4773 0.7804  2 Fe 1.91-1.92

Energy of formation from the pure elements in eV/atom: -1.82
Symmetry: Pmn2_1 (31)


No. 6
Material: As2WO7
Method: DFT, GGA+U
State: optimized geometry

abc: 7.4084 9.5366 10.1089
angles: 90.00 94.39 90.00
Closest atoms and distances in Å follow each position.
Fractional coordinates of all 40 atoms:
As1 0.0974 0.2275 0.2328  4 O 1.70-1.75
As2 0.0974 0.2725 0.7328  4 O 1.70-1.75
As3 0.3745 0.2410 0.9941  2 O 1.78-1.92
As4 0.3745 0.2590 0.4941  2 O 1.78-1.92
As5 0.6255 0.7410 0.5059  2 O 1.78-1.92
As6 0.6255 0.7590 0.0059  2 O 1.78-1.92
As7 0.9026 0.7275 0.2672  4 O 1.70-1.75
As8 0.9026 0.7725 0.7672  4 O 1.70-1.75
W1 0.3044 0.5433 0.1955  3 O 1.74-1.93
W2 0.3044 0.9567 0.6955  3 O 1.74-1.93
W3 0.6956 0.0433 0.3045  3 O 1.74-1.93
W4 0.6956 0.4567 0.8045  3 O 1.74-1.93
O1 0.1012 0.0916 0.7476  1 As 1.73
O2 0.1012 0.4084 0.2476  1 As 1.73
O3 0.1216 0.6819 0.2413  1 As 1.72
O4 0.1216 0.8181 0.7413  1 As 1.72
O5 0.1462 0.1720 0.0794  1 As 1.70
O6 0.1462 0.3280 0.5794  1 As 1.70
O7 0.2326 0.1523 0.3631  2 As 1.75-1.92
O8 0.2326 0.3477 0.8631  2 As 1.75-1.92
O9 0.3820 0.6592 0.0708  1 W 1.80
O10 0.3820 0.8408 0.5708  1 W 1.80
O11 0.3951 0.1235 0.6162  1 As 1.78, 1 W 1.93
O12 0.3951 0.3765 0.1162  1 As 1.78, 1 W 1.93
O13 0.4623 0.5567 0.3319  1 W 1.74
O14 0.4623 0.9433 0.8319  1 W 1.74
O15 0.5377 0.0567 0.1681  1 W 1.74
O16 0.5377 0.4433 0.6681  1 W 1.74
O17 0.6049 0.6235 0.8838  1 As 1.78, 1 W 1.93
O18 0.6049 0.8765 0.3838  1 As 1.78, 1 W 1.93
O19 0.6180 0.1592 0.4292  1 W 1.80
O20 0.6180 0.3408 0.9292  1 W 1.80
O21 0.7674 0.6523 0.1369  2 As 1.75-1.92
O22 0.7674 0.8477 0.6369  2 As 1.75-1.92
O23 0.8538 0.6720 0.4206  1 As 1.70
O24 0.8538 0.8280 0.9206  1 As 1.70
O25 0.8784 0.1819 0.2587  1 As 1.72
O26 0.8784 0.3181 0.7587  1 As 1.72
O27 0.8988 0.5916 0.7524  1 As 1.73
O28 0.8988 0.9084 0.2524  1 As 1.73

Energy of formation from the pure elements in eV/atom: -1.76
Symmetry: P2_1/c (14)